# Rb2TaAgBr6

A relaxed Rb2TaAgBr6 crystal (PBE, Materials Project).

MP2020-corrected energy = -3.973 eV/atom
Formation energy = -1.325 eV per atom
Symmetry = Fm-3m
Magnetization = 2.00 μB per formula unit

abc: 7.779 7.779 7.779
angles: 60.00 60.00 60.00
Fractional positions:
Rb  0.250  0.250  0.250
Rb  0.750  0.750  0.750
Ta  0.000  0.000  0.000
Ag  0.500  0.500  0.500
Br  0.240  0.240  0.760
Br  0.240  0.760  0.240
Br  0.240  0.760  0.760
Br  0.760  0.240  0.240
Br  0.760  0.240  0.760
Br  0.760  0.760  0.240

---

# Ag9Te4Br3

A relaxed Ag9Te4Br3 crystal (PBE, Materials Project).

MP2020-corrected energy = -2.908 eV/atom
Formation energy = -0.222 eV per atom
Symmetry = P1
Magnetization = 0.01 μB per formula unit

abc: 7.576 7.592 8.373
angles: 89.41 89.99 65.16
Fractional positions:
Ag  0.000  0.000  0.000
Ag  0.011  0.316  0.794
Ag  0.032  0.966  0.643
Ag  0.171  0.417  0.266
Ag  0.381  0.618  0.018
Ag  0.396  0.627  0.668
Ag  0.631  0.846  0.578
Ag  0.720  0.315  0.510
Ag  0.847  0.804  0.283
Te  0.005  0.626  0.996
Te  0.041  0.596  0.568
Te  0.372  0.968  0.836
Te  0.655  0.273  0.832
Br  0.033  0.111  0.309
Br  0.517  0.132  0.336
Br  0.533  0.629  0.313

---

# Ag5Te2Br

A relaxed Ag5Te2Br crystal (PBE, Materials Project).

MP2020-corrected energy = -2.973 eV/atom
Formation energy = -0.212 eV per atom
Symmetry = Pnma
Magnetization = 0.00 μB per formula unit

abc: 7.781 14.184 14.239
angles: 90.00 90.00 90.00
Fractional positions:
Ag  0.007  0.142  0.106
Ag  0.007  0.358  0.106
Ag  0.065  0.250  0.928
Ag  0.124  0.101  0.421
Ag  0.124  0.399  0.421
Ag  0.132  0.573  0.079
Ag  0.132  0.927  0.079
Ag  0.146  0.750  0.620
Ag  0.207  0.648  0.300
Ag  0.207  0.852  0.300
Ag  0.293  0.148  0.800
Ag  0.293  0.352  0.800
Ag  0.354  0.250  0.120
Ag  0.368  0.073  0.579
Ag  0.368  0.427  0.579
Ag  0.376  0.601  0.921
Ag  0.376  0.899  0.921
Ag  0.435  0.750  0.428
Ag  0.493  0.642  0.606
Ag  0.493  0.858  0.606
Ag  0.507  0.142  0.394
Ag  0.507  0.358  0.394
Ag  0.565  0.250  0.572
Ag  0.624  0.101  0.079
Ag  0.624  0.399  0.079
Ag  0.632  0.573  0.421
Ag  0.632  0.927  0.421
Ag  0.646  0.750  0.880
Ag  0.707  0.648  0.200
Ag  0.707  0.852  0.200
Ag  0.793  0.148  0.700
Ag  0.793  0.352  0.700
Ag  0.854  0.250  0.380
Ag  0.868  0.073  0.921
Ag  0.868  0.427  0.921
Ag  0.876  0.601  0.579
Ag  0.876  0.899  0.579
Ag  0.935  0.750  0.072
Ag  0.993  0.642  0.894
Ag  0.993  0.858  0.894
Te  0.212  0.588  0.491
Te  0.212  0.912  0.491
Te  0.218  0.250  0.636
Te  0.242  0.250  0.312
Te  0.258  0.750  0.812
Te  0.282  0.750  0.136
Te  0.288  0.088  0.991
Te  0.288  0.412  0.991
Te  0.712  0.588  0.009
Te  0.712  0.912  0.009
Te  0.718  0.250  0.864
Te  0.742  0.250  0.188
Te  0.758  0.750  0.688
Te  0.782  0.750  0.364
Te  0.788  0.088  0.509
Te  0.788  0.412  0.509
Br  0.020  0.001  0.751
Br  0.020  0.499  0.751
Br  0.480  0.501  0.251
Br  0.480  0.999  0.251
Br  0.520  0.001  0.749
Br  0.520  0.499  0.749
Br  0.980  0.501  0.249
Br  0.980  0.999  0.249